[1]
A relaxed InGaS3 crystal. Source: Materials Project, functional meta-GGA r2SCAN.

Summary:
- Total magnetic moment: 0.000 μB per cell
- ΔE_f: -780 meV/atom

Unit cell a=6.7738 b=6.7738 c=18.0869 alpha=90.00 beta=90.00 gamma=120.00
Space group P6_1 (No. 169)
Unique sites:
In 0.0010 0.3287 0.0000 (multiplicity 6)
Ga 0.0136 0.3337 0.6385 (multiplicity 6)
S 0.0007 0.7042 0.0113 (multiplicity 6)
S 0.0331 0.6610 0.3526 (multiplicity 6)
S 0.0420 0.3640 0.1484 (multiplicity 6)

[2]
A relaxed Nd4Re2O11 crystal. Source: Materials Project, functional meta-GGA r2SCAN.

Summary:
- Total magnetic moment: 0.000 μB per cell
- ΔE_f: -2953 meV/atom

Unit cell a=12.731 b=12.731 c=5.622 alpha=90.00 beta=90.00 gamma=90.00
Space group P4_2/n (No. 86, origin choice 2)
Unique sites:
Nd 0.111 0.694 0.070 (multiplicity 8)
Nd 0.118 0.185 0.499 (multiplicity 8)
Re 0.024 0.586 0.570 (multiplicity 8)
O 0.001 0.092 0.196 (multiplicity 8)
O 0.030 0.309 0.207 (multiplicity 8)
O 0.044 0.871 0.286 (multiplicity 8)
O 0.045 0.342 0.692 (multiplicity 8)
O 0.148 0.697 0.489 (multiplicity 8)
O 0.250 0.250 0.250 (multiplicity 2)
O 0.250 0.250 0.750 (multiplicity 2)

[3]
A relaxed InPt crystal. Source: Materials Project, functional meta-GGA r2SCAN.

Summary:
- Total magnetic moment: 0.000 μB per cell
- ΔE_f: -571 meV/atom

Unit cell a=13.241 b=4.449 c=7.673 alpha=90.00 beta=123.21 gamma=90.00
Space group C2/m (No. 12)
Unique sites:
In 0.000 0.000 0.000 (multiplicity 2)
In 0.129 0.000 0.743 (multiplicity 4)
In 0.149 0.500 0.344 (multiplicity 4)
Pt 0.000 0.500 0.500 (multiplicity 2)
Pt 0.108 0.500 0.941 (multiplicity 4)
Pt 0.241 0.000 0.239 (multiplicity 4)

[4]
A relaxed Si crystal. Source: Materials Project, functional meta-GGA r2SCAN.

Summary:
- Total magnetic moment: 0.000 μB per cell
- ΔE_f: 14 meV/atom
- E above lowest polymorph: 0.014 eV/atom

Unit cell a=3.8313 b=3.8313 c=6.3326 alpha=90.00 beta=90.00 gamma=120.00
Space group P6_3/mmc (No. 194)
Unique sites:
Si 0.3333 0.6667 0.0630 (multiplicity 4)

- ΔE_f of number 4 (Si)?
  14 meV/atom